An optimized crystal structure of PbSe2. Source: Materials Project, functional GGA-PBE.

Lattice parameters (Å, degrees): 6.5053 6.5053 7.8983 90.00 90.00 90.00
Closest atoms and distances in Å follow each position.
Space group I4/mcm (No. 140)
Unique sites:
Pb 0.0000 0.0000 0.2500  8 Se 3.22
Se 0.1309 0.3691 0.0000  1 Se 2.41

Output
E (eV/cell): -46.66

---

An optimized crystal structure of Cs3LiBr4. Source: Materials Project, functional GGA-PBE.

Lattice parameters (Å, degrees): 11.7144 14.1687 8.3497 90.00 90.00 90.00
Closest atoms and distances in Å follow each position.
Space group C222_1 (No. 20)
Unique sites:
Cs 0.0000 0.2137 0.2500  4 Br 3.68-3.83
Cs 0.2268 0.0736 0.7679  6 Br 3.54-3.87
Li 0.0000 0.3951 0.7500  4 Br 2.57-2.62
Br 0.0103 0.0000 0.5000  6 Cs 3.54-3.68
Br 0.0481 0.5000 0.0000  2 Li 2.62
Br 0.1833 0.3156 0.6472  1 Li 2.57

Output
E (eV/cell): -98.63

---

An optimized crystal structure of Ta4MnS8. Source: Materials Project, functional GGA-PBE.

Lattice parameters (Å, degrees): 6.6873 6.6873 12.4973 90.00 90.00 120.00
Closest atoms and distances in Å follow each position.
Space group P6_3/mmc (No. 194)
Unique sites:
Ta 0.0000 0.0000 0.2500  6 S 2.50
Ta 0.0118 0.5059 0.2500  6 S 2.46-2.50
Mn 0.0000 0.0000 0.0000  6 S 2.50
S 0.1684 0.3368 0.6255  3 Ta 2.50, 1 Mn 2.50
S 0.3333 0.6667 0.1215  3 Ta 2.46

Output
E (eV/cell): -207.00

---

An optimized crystal structure of EuIn8Rh2. Source: Materials Project, functional GGA-PBE.

Lattice parameters (Å, degrees): 14.0751 16.3982 4.4227 90.00 90.00 90.00
Closest atoms and distances in Å follow each position.
Space group Pbam (No. 55)
Unique sites:
Eu 0.1566 0.1806 0.0000  13 In 3.41-3.81
In 0.0000 0.0000 0.0000  2 Rh 2.68
In 0.0000 0.5000 0.5000  4 Rh 2.75
In 0.0192 0.8667 0.5000  2 Rh 2.98, 8 In 3.12-3.32
In 0.0508 0.3159 0.5000  2 Rh 2.90, 6 In 2.95-3.24
In 0.1008 0.7468 0.0000  2 Rh 2.65-2.68
In 0.1598 0.4560 0.0000  3 Rh 2.75-2.89
In 0.1673 0.6232 0.5000  5 In 2.93-3.23, 2 Rh 2.93
In 0.1699 0.0119 0.5000  2 Rh 2.84, 1 In 2.93
In 0.2400 0.8221 0.5000  2 Rh 2.85, 2 In 2.95-3.19
Rh 0.0345 0.5955 0.0000  9 In 2.65-2.93
Rh 0.1543 0.9039 0.0000  9 In 2.68-2.98

Output
E (eV/cell): -203.52

---

An optimized crystal structure of CsBi3Se5. Source: Materials Project, functional GGA-PBE.

Lattice parameters (Å, degrees): 23.2258 4.2201 12.5814 90.00 90.00 90.00
Closest atoms and distances in Å follow each position.
Space group Pnma (No. 62)
Unique sites:
Cs 0.2125 0.2500 0.0104  8 Se 3.69-3.95
Bi 0.0239 0.2500 0.1364  6 Se 2.92-2.99
Bi 0.0727 0.7500 0.4076  5 Se 2.81-3.06
Bi 0.1212 0.2500 0.6959  4 Se 2.82-3.08
Se 0.0192 0.7500 0.6395  6 Bi 2.99-3.25
Se 0.0613 0.2500 0.9146  4 Bi 2.92-3.08
Se 0.1092 0.7500 0.1947  3 Bi 2.81-2.98
Se 0.1521 0.2500 0.4737  3 Bi 2.89-2.92
Se 0.1960 0.7500 0.7501  2 Bi 2.82

Output
E (eV/cell): -141.19

---

An optimized crystal structure of ErPa3. Source: Materials Project, functional GGA-PBE.

Lattice parameters (Å, degrees): 4.7038 4.7038 4.7038 90.00 90.00 90.00
Closest atoms and distances in Å follow each position.
Space group Pm-3m (No. 221)
Unique sites:
Er 0.0000 0.0000 0.0000  12 Pa 3.33
Pa 0.0000 0.5000 0.5000  8 Pa 3.33, 4 Er 3.33

Output
E (eV/cell): -32.42

---

An optimized crystal structure of K4PbO3. Source: Materials Project, functional GGA-PBE.

Lattice parameters (Å, degrees): 6.6670 11.7460 18.9715 90.00 90.00 90.00
Closest atoms and distances in Å follow each position.
Space group Pbca (No. 61)
Unique sites:
K 0.0549 0.1188 0.2011  3 O 2.70-2.81
K 0.1269 0.6723 0.6477  3 O 2.64-2.71
K 0.2351 0.1878 0.4432  4 O 2.68-2.82
K 0.2473 0.5546 0.0336  5 O 2.74-2.91
Pb 0.1110 0.5622 0.8457  3 O 2.20-2.23
O 0.0426 0.1484 0.5656  1 Pb 2.22
O 0.0427 0.6064 0.1573  1 Pb 2.23
O 0.1124 0.0114 0.9005  1 Pb 2.20

Output
E (eV/cell): -262.09

---

An optimized crystal structure of Tb5Mg. Source: Materials Project, functional GGA-PBE.

Lattice parameters (Å, degrees): 5.6408 3.5932 18.2865 90.00 90.00 90.00
Closest atoms and distances in Å follow each position.
Space group Amm2 (No. 38)
Unique sites:
Tb 0.0000 0.0000 0.0000  12 Tb 3.48-3.59
Tb 0.0000 0.0000 0.3304  8 Tb 3.45-3.59, 4 Mg 3.47
Tb 0.0000 0.0000 0.6692  10 Tb 3.45-3.59, 2 Mg 3.46
Tb 0.5000 0.0000 0.1165  2 Mg 3.48, 10 Tb 3.48-3.59
Tb 0.5000 0.0000 0.4469  10 Tb 3.48-3.59, 2 Mg 3.55
Mg 0.5000 0.0000 0.7792  10 Tb 3.46-3.55, 2 Mg 3.59

Output
Energy above the most stable polymorph in this dataset (meV/atom): 24

---

An optimized crystal structure of ZnHgSe2. Source: Materials Project, functional GGA-PBE.

Lattice parameters (Å, degrees): 4.2545 4.2545 20.8939 90.00 90.00 120.00
Closest atoms and distances in Å follow each position.
Space group R3m (No. 160, hexagonal axes)
Unique sites:
Zn 0.0000 0.0000 0.0000  4 Se 2.48-2.56
Hg 0.0000 0.0000 0.4973  4 Se 2.67-2.70
Se 0.0000 0.0000 0.3683  3 Zn 2.56, 1 Hg 2.70
Se 0.0000 0.0000 0.8812  1 Zn 2.48, 3 Hg 2.67

Output
E (eV/cell): -30.79

---

An optimized crystal structure of Sr2LiH8O6. Source: Materials Project, functional GGA-PBE.

Lattice parameters (Å, degrees): 3.8222 6.9732 7.6399 98.23 90.03 90.24
Closest atoms and distances in Å follow each position.
Space group P1 (No. 1)
Unique sites:
Sr 0.0000 0.0000 0.0000  3 O 2.38-2.60
Sr 0.0042 0.7256 0.4573  5 O 2.47-2.73
Li 0.5097 0.0617 0.3733  2 O 1.86-1.89, 1 H 2.07
H 0.2034 0.3070 0.3527  1 O 1.04
H 0.2140 0.5810 0.8346  1 O 1.02
H 0.4997 0.7181 0.1172  1 O 0.98
H 0.5012 0.2990 0.8944  1 O 0.98
H 0.5021 0.4249 0.5615  1 O 0.99
H 0.5035 0.0222 0.6832  1 O 0.99
H 0.7917 0.5803 0.8345  1 O 1.02
H 0.7958 0.3092 0.3517  1 O 1.04
O 0.0030 0.6535 0.7964  2 H 1.02
O 0.4987 0.8439 0.1943  1 H 0.98
O 0.5009 0.1593 0.9016  1 H 0.98
O 0.5009 0.4444 0.4361  1 H 0.99
O 0.5051 0.9325 0.5697  1 H 0.99
O 0.9979 0.2153 0.3081  2 H 1.04

Output
Energy above the most stable polymorph in this dataset (meV/atom): 7

---

An optimized crystal structure of Kr. Source: Materials Project, functional GGA-PBE.

Lattice parameters (Å, degrees): 4.4688 4.4688 15.0549 90.00 90.00 120.00
Closest atoms and distances in Å follow each position.
Space group P6_3/mmc (No. 194)
Unique sites:
Kr 0.0000 0.0000 0.0000  12 Kr 4.47-4.56
Kr 0.3333 0.6667 0.2500  12 Kr 4.47-4.56

Output
Energy above the most stable polymorph in this dataset (meV/atom): 1

---

An optimized crystal structure of Nb14AgO36. Source: Materials Project, functional GGA-PBE.

Lattice parameters (Å, degrees): 3.7860 14.8183 26.5627 90.00 90.00 90.00
Closest atoms and distances in Å follow each position.
Space group Immm (No. 71)
Unique sites:
Nb 0.0000 0.0000 0.1036  6 O 1.94-2.12
Nb 0.0000 0.0000 0.3106  4 O 1.82-2.01
Nb 0.0000 0.1819 0.0000  4 O 1.92-1.95
Nb 0.0000 0.1906 0.2064  4 O 1.81-1.98
Nb 0.0000 0.3750 0.1027  4 O 1.79-1.98
Ag 0.0000 0.0000 0.5000  4 O 2.36
O 0.0000 0.0916 0.3849  2 Nb 1.98
O 0.0000 0.0972 0.0545  2 Nb 1.92-1.94
O 0.0000 0.0969 0.2683  1 Nb 1.82
O 0.0000 0.0996 0.1611  1 Nb 1.81
O 0.0000 0.2879 0.5000  2 Nb 1.95
O 0.0000 0.2925 0.1595  2 Nb 1.94-1.96
O 0.0000 0.2935 0.2734  2 Nb 1.98
O 0.0000 0.2960 0.0518  1 Nb 1.79
O 0.0000 0.5000 0.0532  2 Nb 2.27, 2 Ag 2.36
O 0.0000 0.5000 0.1641  2 Nb 2.01
O 0.0000 0.5000 0.3797  2 Nb 1.94

Output
E (eV/cell): -892.38

---

An optimized crystal structure of ZnSbO3. Source: Materials Project, functional GGA-PBE.

Lattice parameters (Å, degrees): 5.4905 8.0637 5.5598 90.00 91.67 90.00
Closest atoms and distances in Å follow each position.
Space group P2_1/m (No. 11)
Unique sites:
Zn 0.0136 0.2500 0.4719  4 O 2.03-2.19
Zn 0.4766 0.7500 0.9948  4 O 2.03-2.14
Sb 0.0000 0.0000 0.0000  6 O 2.25-2.29
Sb 0.5000 0.0000 0.5000  4 O 1.98-2.01
O 0.1251 0.7500 0.8712  2 Zn 2.03, 2 Sb 2.25
O 0.1793 0.5699 0.3617  1 Sb 1.98, 1 Zn 2.04
O 0.3496 0.0705 0.8099  1 Sb 2.01, 1 Zn 2.03
O 0.3947 0.2500 0.3654  2 Zn 2.14-2.19, 2 Sb 2.22

Output
E (eV/cell): -105.93